Li3MnCoO5 | Materials Project | PBE+U | optimized geometry; uncorrected energy = -114.36 eV per cell; SG = Cm
1.0
2.623 -1.439 0.000
2.623 1.439 0.000
-0.857 0.000 24.866
Li Mn Co O
6 2 2 10
Cartesian
0.000 0.000 0.000
0.262 0.000 7.412
0.893 0.000 22.498
2.230 0.000 12.423
3.536 0.000 2.453
4.109 0.000 17.344
2.480 0.000 19.810
3.865 0.000 9.946
0.546 0.000 14.898
1.908 0.000 5.020
0.049 0.000 4.004
0.565 0.000 11.110
0.575 0.000 18.663
1.793 0.000 1.323
1.931 0.000 8.801
2.225 0.000 16.015
2.616 0.000 23.562
3.813 0.000 6.120
4.121 0.000 13.787
4.338 0.000 20.871

***

Li4MnCo2O7 | Materials Project | PBE+U | optimized geometry; uncorrected energy = -164.41 eV per cell; SG = P1
1.0
5.067 0.000 0.000
-0.782 5.025 0.000
-1.622 -2.222 9.672
Li Mn Co O
8 2 4 14
Cartesian
0.000 0.000 0.000
-1.568 3.885 4.817
-0.738 -0.386 7.718
0.837 2.756 0.632
0.909 3.518 3.449
1.774 -0.738 6.261
1.811 0.064 9.035
3.446 3.122 2.041
2.561 0.405 1.334
2.662 1.981 6.982
0.038 0.800 2.701
0.126 1.536 5.506
0.143 2.382 8.320
2.616 1.192 4.144
-0.711 2.268 3.824
-1.499 1.310 8.510
-0.734 2.977 6.651
0.137 4.419 1.783
0.858 0.089 4.565
0.195 -1.188 9.378
1.793 1.830 2.495
1.035 0.965 7.300
2.473 3.992 0.332
1.871 2.612 5.260
2.576 -1.646 7.902
3.351 -0.243 3.047
4.151 1.495 1.103
3.409 0.556 5.808

***

Li7Mn2Co3O12 | Materials Project | PBE+U | optimized geometry; uncorrected energy = -281.46 eV per cell; SG = P-1
1.0
2.895 0.000 0.000
-0.343 11.828 0.000
-0.022 -2.944 12.511
Li Mn Co O
14 4 6 24
Cartesian
0.000 0.000 0.000
-0.202 5.862 4.167
-0.020 -0.015 4.275
-0.029 2.870 0.016
1.115 7.518 6.263
1.116 10.378 1.982
1.223 4.421 10.443
1.436 -1.472 6.255
1.307 4.463 2.067
1.414 -1.494 10.528
1.415 1.366 6.248
2.559 6.014 12.495
2.550 8.899 8.236
2.732 3.022 8.344
-0.029 -0.025 8.249
1.096 7.451 10.515
1.434 1.433 1.995
2.559 8.909 4.262
-0.172 5.914 0.000
-0.068 2.955 4.164
1.170 7.418 2.080
1.265 4.442 6.255
1.360 1.466 10.430
2.598 5.929 8.347
-0.010 0.155 2.111
-0.174 6.023 2.078
-0.196 5.736 6.292
-0.030 0.033 6.419
-0.020 2.775 2.107
0.004 0.087 10.317
1.062 7.322 8.422
1.116 7.559 4.151
1.174 7.298 0.028
1.261 4.335 4.124
1.101 7.392 12.339
1.106 10.186 4.156
1.424 -1.302 8.354
1.429 1.492 0.172
1.268 4.549 8.387
1.355 1.586 12.483
1.414 1.325 8.360
1.468 1.562 4.088
2.526 8.797 2.194
2.550 6.109 10.403
2.560 8.851 6.091
2.726 3.148 6.219
2.703 2.861 10.433
2.540 8.729 10.400

***

Li7Mn2Co3O12 | Materials Project | PBE+U | optimized geometry; uncorrected energy = -139.78 eV per cell; SG = P1
1.0
3.024 0.000 0.000
0.378 5.994 0.000
0.323 2.844 12.076
Li Mn Co O
7 2 3 12
Cartesian
0.000 0.000 0.000
3.257 2.960 3.989
1.859 4.487 5.937
2.094 7.376 10.060
1.636 1.432 2.017
3.485 5.913 7.973
3.444 5.953 3.982
1.939 4.396 10.042
3.291 2.894 7.965
0.209 3.016 0.035
2.012 7.356 5.893
1.821 4.553 2.062
0.465 5.860 1.986
0.328 2.865 6.038
0.617 5.865 10.145
1.982 7.449 7.827
1.767 4.437 0.147
1.831 4.442 3.791
1.652 1.472 4.167
1.991 4.439 11.986
1.973 4.360 8.086
3.133 3.050 1.923
3.228 2.909 9.941
3.377 6.051 5.976

***

Li5MnCo2O8 | Materials Project | PBE+U | optimized geometry; uncorrected energy = -91.87 eV per cell; SG = P-1
1.0
4.953 0.000 0.000
0.914 5.038 0.000
0.048 1.780 5.632
Li Mn Co O
5 1 2 8
Cartesian
0.000 0.000 0.000
1.708 4.073 4.963
1.701 3.189 2.087
4.214 3.629 3.545
4.207 2.745 0.669
0.024 0.890 2.816
3.422 6.388 4.280
2.493 0.430 1.352
0.889 1.511 1.194
0.921 2.302 3.807
2.495 4.878 3.110
2.660 3.954 0.323
3.255 2.864 5.309
3.420 1.940 2.522
4.995 4.515 1.825
5.027 5.307 4.438

***

Li7Mn2Co3O12 | Materials Project | PBE+U | optimized geometry; uncorrected energy = -141.76 eV per cell; SG = C2
1.0
2.512 -4.358 0.000
2.512 4.358 0.000
-1.679 0.000 9.648
Li Mn Co O
7 2 3 12
Cartesian
0.000 0.000 0.000
0.826 1.381 2.199
-0.066 0.012 7.451
0.785 -1.406 2.195
2.520 1.381 7.448
3.412 0.012 2.197
2.561 -1.406 7.452
2.512 -1.459 0.000
1.673 -2.919 4.824
1.673 2.905 4.824
2.512 1.448 0.000
1.673 0.001 4.824
1.609 2.806 1.082
-0.048 0.066 3.726
0.764 1.437 5.884
1.737 2.806 8.565
1.788 -0.014 1.080
2.582 1.437 3.764
0.861 -1.515 5.863
1.557 -0.014 8.567
1.626 -2.803 1.076
2.485 -1.515 3.784
3.394 0.066 5.921
1.720 -2.803 8.571

***

Li4MnCo3O8 | Materials Project | PBE+U | optimized geometry; uncorrected energy = -79.12 eV per cell; SG = P-1
1.0
5.193 0.000 0.000
1.837 5.520 0.000
0.147 2.818 5.165
Li Mn Co O
4 1 3 8
Cartesian
0.490 2.057 1.273
6.687 6.281 3.893
0.585 3.504 3.892
6.592 4.834 1.273
3.588 4.169 2.583
2.597 0.000 0.000
2.670 1.409 2.583
3.515 2.760 0.000
2.038 2.277 0.571
3.013 5.114 0.657
3.093 6.544 3.233
2.190 3.770 3.210
4.987 4.568 1.955
4.083 1.794 1.933
4.163 3.223 4.509
5.138 6.061 4.594

***

Li2MnCoO4 | Materials Project | PBE+U | optimized geometry; uncorrected energy = -98.62 eV per cell; SG = Cc
1.0
5.135 -2.992 0.000
5.135 2.992 0.000
-1.681 0.000 4.773
Li Mn Co O
4 2 2 8
Cartesian
4.294 2.219 2.386
3.485 0.772 4.701
4.326 -0.772 2.314
5.135 -2.219 0.000
1.742 0.754 2.350
0.901 -0.754 4.736
6.880 0.725 2.347
6.039 -0.725 4.734
2.532 2.113 3.446
0.181 0.650 3.525
1.021 -0.650 1.138
3.301 0.656 1.168
2.461 -0.656 3.555
5.251 0.868 3.646
3.372 -2.113 1.059
6.092 -0.868 1.260

***

Li7Mn2Co3O12 | Materials Project | PBE+U | optimized geometry; uncorrected energy = -138.24 eV per cell; SG = Cm
1.0
6.383 -1.460 0.000
6.383 1.460 0.000
-2.997 0.000 11.574
Li Mn Co O
7 2 3 12
Cartesian
0.000 0.000 0.000
11.300 0.000 5.635
1.793 0.000 9.667
3.368 0.000 3.743
7.949 0.000 1.940
6.535 0.000 7.598
12.004 0.000 2.884
7.208 0.000 4.740
5.782 0.000 10.570
2.599 0.000 6.680
4.198 0.000 1.047
10.478 0.000 8.584
-0.309 0.000 9.261
2.083 0.000 0.228
1.232 0.000 3.534
0.610 0.000 6.088
5.965 0.000 1.336
4.533 0.000 7.275
3.903 0.000 10.004
5.423 0.000 4.345
7.620 0.000 11.065
9.993 0.000 2.231
9.185 0.000 5.341
8.599 0.000 8.104

***

Li7Mn2Co3O12 | Materials Project | PBE+U | optimized geometry; uncorrected energy = -140.66 eV per cell; SG = P1
1.0
2.885 0.000 0.000
-0.101 5.152 0.000
-0.256 -0.089 14.551
Li Mn Co O
7 2 3 12
Cartesian
0.000 0.000 0.000
-0.152 3.363 5.013
-0.209 5.107 7.361
-0.157 1.725 9.680
1.319 0.667 5.222
1.151 2.484 14.515
1.218 4.381 9.602
1.327 4.283 2.482
1.289 2.541 7.332
-0.066 1.699 2.495
-0.260 3.387 12.152
1.234 0.805 12.157
-0.117 5.001 3.575
-0.159 3.315 8.397
-0.116 -0.015 11.053
1.091 4.202 13.302
1.406 0.772 1.432
1.349 2.649 3.494
1.297 0.995 8.452
1.281 4.091 6.203
1.274 2.560 11.086
2.587 1.618 13.322
2.774 3.563 1.378
2.738 1.749 6.236

***

Li7Mn2Co3O12 | Materials Project | PBE+U | optimized geometry; uncorrected energy = -141.40 eV per cell; SG = P1
1.0
5.014 0.000 0.000
-1.594 4.852 0.000
0.000 -0.021 8.875
Li Mn Co O
7 2 3 12
Cartesian
0.000 0.000 0.000
-0.788 2.410 1.383
0.883 4.798 7.290
0.902 4.828 1.456
2.534 -0.005 4.249
3.403 4.812 5.754
3.420 4.811 2.809
1.701 2.382 8.795
4.200 2.367 7.322
1.678 2.352 5.737
1.713 2.417 2.770
4.189 2.401 4.263
0.010 3.455 5.895
0.080 3.452 8.648
0.814 1.300 7.347
0.846 1.269 4.363
0.131 3.522 2.920
0.969 1.272 1.258
2.443 3.535 1.266
2.566 3.430 7.322
3.311 1.301 8.657
2.585 3.526 4.392
3.327 1.292 2.903
3.372 1.298 5.896

***

Li4MnCo2O7 | Materials Project | PBE+U | optimized geometry; uncorrected energy = -161.87 eV per cell; SG = C2/m
1.0
6.321 -1.495 0.000
6.321 1.495 0.000
-4.801 0.000 13.643
Li Mn Co O
8 2 4 14
Cartesian
0.000 0.000 0.000
-2.401 0.000 6.822
0.766 0.000 2.739
-0.812 0.000 12.712
2.369 0.000 8.908
5.472 0.000 4.735
8.653 0.000 0.931
7.074 0.000 10.904
1.590 0.000 5.830
6.251 0.000 7.813
-1.721 0.000 9.866
4.826 0.000 1.772
3.014 0.000 11.871
9.561 0.000 3.777
-3.520 0.000 10.193
-2.827 0.000 13.046
-0.298 0.000 6.455
0.257 0.000 9.056
2.808 0.000 2.544
3.402 0.000 5.359
1.238 0.000 12.109
6.602 0.000 1.534
4.439 0.000 8.284
5.033 0.000 11.099
7.583 0.000 4.587
8.139 0.000 7.188
10.667 0.000 0.597
11.361 0.000 3.450